# 1
VASP calculation (PBE) on a relaxed LiMg3O4 crystal.

Properties
The space group is No. 221. The calculation puts the energy with MP2020 corrections at -5.96 eV per atom.

Structure (POSCAR):
```
LiMg3O4
1.0
-2.0555 -3.6355 -0.6679
3.6601 -1.8951 -0.9486
0.5161 -1.0390 4.0672
Li Mg O
1 3 4
Direct
0.0000 0.0000 0.0000 Li
0.0000 0.5000 0.5000 Mg
0.5000 0.0000 0.5000 Mg
0.5000 0.5000 0.0000 Mg
0.5000 0.0000 0.0000 O
0.5000 0.5000 0.5000 O
0.0000 0.0000 0.5000 O
0.0000 0.5000 0.0000 O
```

# 2
VASP calculation (PBE) on a relaxed LiMg3P3O11 crystal.

Properties
The space group is No. 62. The calculation puts the energy with MP2020 corrections at -7.28 eV per atom.

Structure (POSCAR):
```
LiMg3P3O11
1.0
8.4036 0.0000 0.0000
0.0000 9.1572 0.0000
0.0000 0.0000 10.7292
Li Mg P O
4 12 12 44
Direct
0.0253 0.8128 0.7500 Li
0.4747 0.3128 0.7500 Li
0.9747 0.1872 0.2500 Li
0.5253 0.6872 0.2500 Li
0.8596 0.5456 0.0900 Mg
0.6404 0.0456 0.4100 Mg
0.1404 0.4544 0.5900 Mg
0.3596 0.9544 0.9100 Mg
0.1404 0.4544 0.9100 Mg
0.3596 0.9544 0.5900 Mg
0.8596 0.5456 0.4100 Mg
0.6404 0.0456 0.0900 Mg
0.0000 0.0000 0.0000 Mg
0.5000 0.5000 0.5000 Mg
0.0000 0.0000 0.5000 Mg
0.5000 0.5000 0.0000 Mg
0.2141 0.7108 0.1091 P
0.2859 0.2108 0.3909 P
0.7859 0.2892 0.6091 P
0.7141 0.7892 0.8909 P
0.7859 0.2892 0.8909 P
0.7141 0.7892 0.6091 P
0.2141 0.7108 0.3909 P
0.2859 0.2108 0.1091 P
0.2895 0.6468 0.7500 P
0.2105 0.1468 0.7500 P
0.7105 0.3532 0.2500 P
0.7895 0.8532 0.2500 P
0.2008 0.8501 0.0300 O
0.2992 0.3501 0.4700 O
0.7992 0.1499 0.5300 O
0.7008 0.6499 0.9700 O
0.7992 0.1499 0.9700 O
0.7008 0.6499 0.5300 O
0.2008 0.8501 0.4700 O
0.2992 0.3501 0.0300 O
0.6076 0.8916 0.2500 O
0.8924 0.3916 0.2500 O
0.3924 0.1084 0.7500 O
0.1076 0.6084 0.7500 O
0.8553 0.9274 0.1325 O
0.6447 0.4274 0.3675 O
0.1447 0.0726 0.6325 O
0.3553 0.5726 0.8675 O
0.1447 0.0726 0.8675 O
0.3553 0.5726 0.6325 O
0.8553 0.9274 0.3675 O
0.6447 0.4274 0.1325 O
0.3821 0.6495 0.1151 O
0.1179 0.1495 0.3849 O
0.6179 0.3505 0.6151 O
0.8821 0.8505 0.8849 O
0.6179 0.3505 0.8849 O
0.8821 0.8505 0.6151 O
0.3821 0.6495 0.3849 O
0.1179 0.1495 0.1151 O
0.3113 0.8150 0.7500 O
0.1887 0.3150 0.7500 O
0.6887 0.1850 0.2500 O
0.8113 0.6850 0.2500 O
0.0898 0.5984 0.0636 O
0.4102 0.0984 0.4364 O
0.9102 0.4016 0.5636 O
0.5898 0.9016 0.9364 O
0.9102 0.4016 0.9364 O
0.5898 0.9016 0.5636 O
0.0898 0.5984 0.4364 O
0.4102 0.0984 0.0636 O
0.1635 0.7592 0.2500 O
0.3365 0.2592 0.2500 O
0.8365 0.2408 0.7500 O
0.6635 0.7408 0.7500 O
```

Number 1: formation energy from the elements -2.65 eV per atom, size of the total moment 1.0 μB/f.u.. Number 2: formation energy from the elements -2.98 eV per atom, size of the total moment 0.0 μB/f.u..